No. 1
# LaS2 | the Materials Project | PBE-GGA | optimized geometry
data_LaS2
_chemical_formula_sum 'La2 S4'
_cell_length_a 4.046
_cell_length_b 4.046
_cell_length_c 8.318
_cell_angle_alpha 90.00
_cell_angle_beta 90.00
_cell_angle_gamma 90.00
_space_group_name_H-M_alt 'P 4/n m m'
_space_group_IT_number 129
loop_
_space_group_symop_operation_xyz
'x,y,z'
'-x,-y,-z'
'-y+1/2,x,z'
'y+1/2,-x,-z'
'-x+1/2,-y+1/2,z'
'x+1/2,y+1/2,-z'
'y,-x+1/2,z'
'-y,x+1/2,-z'
'x+1/2,-y,-z'
'-x+1/2,y,z'
'-y,-x,-z'
'y,x,z'
'-x,y+1/2,-z'
'x,-y+1/2,z'
'y+1/2,x+1/2,-z'
'-y+1/2,-x+1/2,z'
loop_
_atom_site_label
_atom_site_type_symbol
_atom_site_fract_x
_atom_site_fract_y
_atom_site_fract_z
_atom_site_occupancy
La1 La 0.250 0.250 0.224 1
S1 S 0.250 0.250 0.864 1
S2 S 0.250 0.750 0.500 1
# Calculated density   4.95 g cm⁻³
# Uncorrected energy   -6.169 eV/atom
# Total magnetization   0.0 μB/cell


No. 2
# SmCdAg2 | the Materials Project | PBE-GGA | optimized geometry
data_SmCdAg2
_chemical_formula_sum 'Sm4 Cd4 Ag8'
_cell_length_a 7.106
_cell_length_b 7.106
_cell_length_c 7.106
_cell_angle_alpha 90.00
_cell_angle_beta 90.00
_cell_angle_gamma 90.00
_space_group_name_H-M_alt 'F m -3 m'
_space_group_IT_number 225
_space_group_name_Hall '-F 4 2 3'
loop_
_atom_site_label
_atom_site_type_symbol
_atom_site_fract_x
_atom_site_fract_y
_atom_site_fract_z
_atom_site_occupancy
Sm1 Sm 0.000 0.000 0.000 1
Cd1 Cd 0.000 0.000 0.500 1
Ag1 Ag 0.250 0.250 0.250 1
# Calculated density   8.86 g cm⁻³
# Uncorrected energy   -3.115 eV/atom


No. 3
# U2Si3Os | the Materials Project | PBE-GGA | optimized geometry
data_U2Si3Os
_chemical_formula_sum 'U2 Si3 Os1'
_cell_length_a 3.678
_cell_length_b 4.186
_cell_length_c 7.090
_cell_angle_alpha 90.00
_cell_angle_beta 90.00
_cell_angle_gamma 90.00
_space_group_name_H-M_alt 'P m m 2'
_space_group_IT_number 25
loop_
_space_group_symop_operation_xyz
'x,y,z'
'-x,-y,z'
'-x,y,z'
'x,-y,z'
loop_
_atom_site_label
_atom_site_type_symbol
_atom_site_fract_x
_atom_site_fract_y
_atom_site_fract_z
_atom_site_occupancy
U1 U 0.000 0.000 0.000 1
U2 U 0.000 0.500 0.489 1
Si1 Si 0.500 0.000 0.669 1
Si2 Si 0.500 0.500 0.154 1
Si3 Si 0.500 0.500 0.824 1
Os1 Os 0.500 0.000 0.328 1
# Calculated density   11.42 g cm⁻³
# Uncorrected energy   -8.739 eV/atom
# Total magnetization   3.2 μB/cell